one | # MgSi2 (PBE, optimized geometry)
data_MgSi2
_chemical_formula_sum 'Mg2 Si4'
_space_group_name_H-M_alt 'C m m m'
_space_group_IT_number 65
_space_group_name_Hall '-C 2 2'
_cell_length_a 4.4332
_cell_length_b 8.0534
_cell_length_c 2.7043
_cell_angle_alpha 90.00
_cell_angle_beta 90.00
_cell_angle_gamma 90.00
loop_
_atom_site_label
_atom_site_fract_x
_atom_site_fract_y
_atom_site_fract_z
Mg1 0.0000 0.0000 0.0000
Si1 0.0000 0.3358 0.5000
# - magnetization (μB per formula unit) = 0.00

***

two | # MgSi2 (PBE, optimized geometry)
data_MgSi2
_chemical_formula_sum 'Mg4 Si8'
_space_group_name_H-M_alt 'P 1 2/m 1'
_space_group_IT_number 10
_cell_length_a 7.1450
_cell_length_b 3.7563
_cell_length_c 9.7102
_cell_angle_alpha 90.00
_cell_angle_beta 105.93
_cell_angle_gamma 90.00
loop_
_space_group_symop_operation_xyz
'x,y,z'
'-x,-y,-z'
'-x,y,-z'
'x,-y,z'
loop_
_atom_site_label
_atom_site_fract_x
_atom_site_fract_y
_atom_site_fract_z
Mg1 0.0832 0.0000 0.3725
Mg2 0.2460 0.5000 0.8539
Si1 0.1717 0.0000 0.0571
Si2 0.2038 0.5000 0.2101
Si3 0.2981 0.0000 0.6472
Si4 0.4817 0.5000 0.6206
# - magnetization (μB per formula unit) = 0.00

***

Which of them is the least stable? Correct choice: one.

***

one | # MgSi2 (PBE, optimized geometry)
data_MgSi2
_chemical_formula_sum 'Mg8 Si16'
_space_group_name_H-M_alt 'C 1 m 1'
_space_group_IT_number 8
_cell_length_a 10.3638
_cell_length_b 3.8044
_cell_length_c 12.1319
_cell_angle_alpha 90.00
_cell_angle_beta 110.85
_cell_angle_gamma 90.00
loop_
_space_group_symop_operation_xyz
'x,y,z'
'x,-y,z'
'x+1/2,y+1/2,z'
'x+1/2,-y+1/2,z'
loop_
_atom_site_label
_atom_site_fract_x
_atom_site_fract_y
_atom_site_fract_z
Mg1 0.0000 0.0000 0.0000
Mg2 0.0359 0.0000 0.7420
Mg3 0.3680 0.0000 0.4848
Mg4 0.4208 0.5000 0.2830
Si1 0.0685 0.5000 0.2015
Si2 0.0836 0.0000 0.5186
Si3 0.1414 0.5000 0.4199
Si4 0.1909 0.5000 0.9534
Si5 0.2187 0.0000 0.2282
Si6 0.2831 0.5000 0.7977
Si7 0.2964 0.0000 0.6874
Si8 0.3145 0.0000 0.0741
# - magnetization (μB per formula unit) = 0.00

***

two | # MgSi2 (PBE, optimized geometry)
data_MgSi2
_chemical_formula_sum 'Mg4 Si8'
_space_group_name_H-M_alt 'P 1'
_space_group_IT_number 1
_cell_length_a 3.7087
_cell_length_b 5.2560
_cell_length_c 12.5682
_cell_angle_alpha 101.24
_cell_angle_beta 90.93
_cell_angle_gamma 101.90
loop_
_space_group_symop_operation_xyz
'x,y,z'
loop_
_atom_site_label
_atom_site_fract_x
_atom_site_fract_y
_atom_site_fract_z
Mg1 0.0000 0.0000 0.0000
Mg2 0.1070 0.4038 0.6451
Mg3 0.3267 0.3433 0.2273
Mg4 0.6534 0.3719 0.8613
Si1 0.1053 0.1232 0.4269
Si2 0.2769 0.5996 0.4450
Si3 0.4074 0.8093 0.8282
Si4 0.4568 0.8095 0.1347
Si5 0.5419 0.9274 0.3275
Si6 0.8367 0.7857 0.5465
Si7 0.8748 0.5098 0.0839
Si8 0.9467 0.9629 0.7379
# - magnetization (μB per formula unit) = 0.00

***

three | # MgSi2 (PBE, optimized geometry)
data_MgSi2
_chemical_formula_sum 'Mg8 Si16'
_space_group_name_H-M_alt 'C 1 2/m 1'
_space_group_IT_number 12
_cell_length_a 9.4916
_cell_length_b 3.5835
_cell_length_c 12.7956
_cell_angle_alpha 90.00
_cell_angle_beta 105.46
_cell_angle_gamma 90.00
loop_
_space_group_symop_operation_xyz
'x,y,z'
'-x,-y,-z'
'-x,y,-z'
'x,-y,z'
'x+1/2,y+1/2,z'
'-x+1/2,-y+1/2,-z'
'-x+1/2,y+1/2,-z'
'x+1/2,-y+1/2,z'
loop_
_atom_site_label
_atom_site_fract_x
_atom_site_fract_y
_atom_site_fract_z
Mg1 0.0046 0.0000 0.1166
Mg2 0.1700 0.5000 0.3073
Si1 0.0703 0.5000 0.6032
Si2 0.1399 0.0000 0.4814
Si3 0.1705 0.5000 0.7990
Si4 0.2109 0.5000 0.0749
# - magnetization (μB per formula unit) = 0.00

***

Which of them is the least stable? Correct choice: three.

***

one | Rb3DyO3 | PBE | optimized geometry

```
data_Rb3DyO3
_chemical_formula_sum 'Rb12 Dy4 O12'
_space_group_name_H-M_alt 'P 1 21/c 1'
_space_group_IT_number 14
_cell_length_a 8.0151
_cell_length_b 7.3940
_cell_length_c 11.7635
_cell_angle_alpha 90.00
_cell_angle_beta 94.02
_cell_angle_gamma 90.00
loop_
_space_group_symop_operation_xyz
'x,y,z'
'-x,-y,-z'
'-x,y+1/2,-z+1/2'
'x,-y+1/2,z+1/2'
loop_
_atom_site_label
_atom_site_fract_x
_atom_site_fract_y
_atom_site_fract_z
Rb1 0.0694 0.1216 0.1553
Rb2 0.3582 0.1681 0.9207
Rb3 0.3757 0.6962 0.8077
Dy1 0.1622 0.5894 0.0675
O1 0.1070 0.0508 0.4036
O2 0.2538 0.6439 0.5435
O3 0.3114 0.0589 0.6892
```

***

two | # Rb3DyO3 (PBE, optimized geometry)
data_Rb3DyO3
_chemical_formula_sum 'Rb12 Dy4 O12'
_space_group_name_H-M_alt 'C 1 2/m 1'
_space_group_IT_number 12
_cell_length_a 7.7655
_cell_length_b 12.5108
_cell_length_c 7.3035
_cell_angle_alpha 90.00
_cell_angle_beta 99.01
_cell_angle_gamma 90.00
loop_
_space_group_symop_operation_xyz
'x,y,z'
'-x,-y,-z'
'-x,y,-z'
'x,-y,z'
'x+1/2,y+1/2,z'
'-x+1/2,-y+1/2,-z'
'-x+1/2,y+1/2,-z'
'x+1/2,-y+1/2,z'
loop_
_atom_site_label
_atom_site_fract_x
_atom_site_fract_y
_atom_site_fract_z
Rb1 0.0000 0.2059 0.0000
Rb2 0.0000 0.2600 0.5000
Rb3 0.1366 0.5000 0.8568
Dy1 0.1778 0.0000 0.6496
O1 0.1029 0.0000 0.3444
O2 0.1922 0.3611 0.2309
# - magnetization (μB per formula unit) = 0.00

***

Which of them is the least stable? Correct choice: two.

***

one | # K3Eu (PBE, optimized geometry)
data_K3Eu
_chemical_formula_sum 'K12 Eu4'
_space_group_name_H-M_alt 'F m -3 m'
_space_group_IT_number 225
_space_group_name_Hall '-F 4 2 3'
_cell_length_a 10.1839
_cell_length_b 10.1839
_cell_length_c 10.1839
_cell_angle_alpha 90.00
_cell_angle_beta 90.00
_cell_angle_gamma 90.00
loop_
_atom_site_label
_atom_site_fract_x
_atom_site_fract_y
_atom_site_fract_z
K1 0.0000 0.0000 0.0000
K2 0.2500 0.2500 0.2500
Eu1 0.0000 0.0000 0.5000
# - magnetization (μB per formula unit) = 7.49

***

two | # K3Eu (PBE, optimized geometry)
data_K3Eu
_chemical_formula_sum 'K6 Eu2'
_space_group_name_H-M_alt 'P 63/m m c'
_space_group_IT_number 194
_space_group_name_Hall '-P 6c 2c'
_cell_length_a 9.1696
_cell_length_b 9.1696
_cell_length_c 7.4465
_cell_angle_alpha 90.00
_cell_angle_beta 90.00
_cell_angle_gamma 120.00
loop_
_atom_site_label
_atom_site_fract_x
_atom_site_fract_y
_atom_site_fract_z
K1 0.1684 0.3368 0.2500
Eu1 0.3333 0.6667 0.7500
# - magnetization (μB per formula unit) = 7.67

***

Which of them is the least stable? Correct choice: one.